Entry 1:
Entry from Materials Project: crystalline BaLiGe2 at its relaxed geometry (PBE).

Cell and atoms, written as POSCAR:
```
BaLiGe2
1.0
4.668 0.000 0.000
0.000 7.493 0.000
0.000 0.000 11.958
Li Ge Ba
4 8 4
direct
0.250 0.617 0.063
0.750 0.383 0.937
0.750 0.883 0.563
0.250 0.117 0.437
0.750 0.800 0.152
0.750 0.300 0.348
0.250 0.535 0.840
0.250 0.200 0.848
0.750 0.465 0.160
0.750 0.965 0.340
0.250 0.700 0.652
0.250 0.035 0.660
0.750 0.865 0.859
0.750 0.365 0.641
0.250 0.635 0.359
0.250 0.135 0.141
```

Summary:
The theoretical density is 4.60 g/cm³. The formation energy is -0.531 eV per atom. The volume comes out at 26.14 Å³/atom.

---

Entry 2:
Entry from Materials Project: crystalline Ba4LiGe4O12 at its relaxed geometry (PBE).

Cell and atoms, written as POSCAR:
```
Ba4LiGe4O12
1.0
-4.256 1.891 0.738
-1.959 -2.221 -5.151
-3.521 -10.757 6.415
Ba Ge O Li
4 4 12 1
direct
0.701 0.302 0.646
0.216 0.123 0.340
0.766 0.672 0.140
0.260 0.791 0.853
0.201 0.865 0.591
0.807 0.283 0.924
0.693 0.710 0.436
0.312 0.187 0.077
0.314 0.724 0.461
0.693 0.207 0.052
0.729 0.089 0.825
0.247 0.393 0.172
0.255 0.906 0.107
0.189 0.248 0.948
0.247 0.157 0.544
0.812 0.840 0.557
0.752 0.573 0.909
0.804 0.427 0.431
0.231 0.590 0.663
0.741 0.873 0.326
0.157 0.457 0.519
```

Summary:
The theoretical density is 4.74 g/cm³. The formation energy is -2.539 eV per atom. The volume comes out at 17.35 Å³/atom. The magnetization comes out at 1.0 μB per cell. For the corrected total energy (MP2020 scheme), the calculation gives -140.78 eV per formula unit. The calculation puts the distance to the lowest polymorph of the same formula at 7.4 meV/atom.

---

Entry 3:
Entry from Materials Project: crystalline Ba4LiGe4O12 at its relaxed geometry (PBE).

Cell and atoms, written as POSCAR:
```
Ba4LiGe4O12
1.0
-1.964 1.325 4.185
-5.259 -1.836 -1.808
2.883 -11.760 4.752
O Ge Ba Li
12 4 4 1
direct
0.325 0.679 0.685
0.762 0.887 0.340
0.675 0.262 0.046
0.749 0.403 0.418
0.752 0.538 0.838
0.259 0.913 0.090
0.823 0.782 0.570
0.239 0.131 0.579
0.170 0.290 0.946
0.772 0.039 0.812
0.314 0.719 0.457
0.233 0.399 0.179
0.201 0.833 0.581
0.691 0.696 0.436
0.792 0.273 0.906
0.307 0.210 0.074
0.238 0.760 0.885
0.780 0.686 0.157
0.726 0.301 0.638
0.233 0.193 0.362
0.694 0.776 0.732
```

Summary:
The theoretical density is 4.71 g/cm³. The formation energy is -2.547 eV per atom. The volume comes out at 17.43 Å³/atom. The magnetization comes out at 0.0 μB per cell. For the corrected total energy (MP2020 scheme), the calculation gives -140.94 eV per formula unit. The calculation puts the distance to the lowest polymorph of the same formula at 0.0 meV/atom.

---

Entry 4:
Entry from Materials Project: crystalline Ba2MgGe2 at its relaxed geometry (PBE).

Cell and atoms, written as POSCAR:
```
Ba2MgGe2
1.0
-2.553 -0.620 2.479
2.554 -0.727 2.449
0.336 14.847 4.059
Ge Ba Mg
2 2 1
direct
0.500 0.500 0.170
0.500 0.500 0.830
0.500 0.500 0.372
0.500 0.500 0.628
0.500 0.500 0.000
```

Summary:
The theoretical density is 3.67 g/cm³. The formation energy is 0.571 eV per atom. The volume comes out at 40.17 Å³/atom.